Here is crystalline NiH2O2 at its relaxed geometry from the Materials Project database. Energies are from GGA+U.

abc: 3.341 3.341 4.396
angles: 90.00 90.00 120.00
Sites, in units of the cell vectors:
O  0.667  0.333  0.207
Ni  0.333  0.667  0.989
H  0.667  0.333  0.430
O  0.000  0.000  0.791
H  0.000  0.000  0.017

Computed properties:
As for the energy above the most stable polymorph in this dataset: 0.237 eV per atom. The space-group type is P3m1 (156). For the corrected total energy (MP2020 scheme), the calculation gives -5.501 eV/atom.

Here is crystalline CaEuInFeO6 at its relaxed geometry from the Materials Project database. Energies are from GGA+U.

abc: 5.652 5.652 5.652
angles: 60.00 60.00 60.00
Sites, in units of the cell vectors:
O  0.762  0.238  0.238
Fe  0.000  0.000  0.000
In  0.500  0.500  0.500
O  0.238  0.238  0.762
O  0.762  0.762  0.238
O  0.238  0.762  0.762
O  0.238  0.762  0.238
O  0.762  0.238  0.762
Eu  0.750  0.750  0.750
Ca  0.250  0.250  0.250

Computed properties:
The space-group type is F-43m (216). For the corrected total energy (MP2020 scheme), the calculation gives -7.530 eV/atom.

Here is crystalline Li9Mn2Co5O16 at its relaxed geometry from the Materials Project database. Energies are from GGA+U.

abc: 3.028 7.838 12.473
angles: 89.68 89.80 81.42
Sites, in units of the cell vectors:
Co  0.750  0.502  0.252
Li  0.937  0.123  0.314
O  0.541  0.934  0.357
Mn  0.629  0.747  0.872
Li  0.314  0.370  0.441
Li  0.433  0.131  0.807
O  0.719  0.565  0.401
O  0.886  0.172  0.471
Co  0.492  0.011  0.503
O  0.954  0.068  0.151
Mn  0.994  0.001  0.000
O  0.477  0.051  0.641
Li  0.875  0.249  0.624
O  0.867  0.326  0.777
O  0.001  0.935  0.849
Li  0.815  0.375  0.936
Co  0.125  0.752  0.377
O  0.371  0.186  0.978
O  0.629  0.814  0.023
Li  0.689  0.625  0.565
O  0.272  0.446  0.607
O  0.118  0.820  0.522
O  0.247  0.563  0.892
O  0.326  0.320  0.275
Co  0.369  0.253  0.127
O  0.784  0.437  0.102
Li  0.190  0.625  0.065
Li  0.060  0.876  0.683
O  0.174  0.685  0.228
O  0.636  0.677  0.725
Co  0.263  0.486  0.744
Li  0.565  0.875  0.189

Computed properties:
As for the energy above the most stable polymorph in this dataset: 0.081 eV per atom. The space-group type is P1 (1). For the corrected total energy (MP2020 scheme), the calculation gives -6.478 eV/atom.

Here is crystalline Cr3Fe2O12 at its relaxed geometry from the Materials Project database. Energies are from GGA+U.

abc: 9.013 9.121 12.529
angles: 90.00 90.00 90.00
Sites, in units of the cell vectors:
O  0.901  0.421  0.659
O  0.366  0.068  0.432
O  0.517  0.822  0.773
O  0.658  0.144  0.415
Fe  0.030  0.750  0.877
O  0.342  0.856  0.585
Cr  0.394  0.397  0.644
O  0.099  0.579  0.341
O  0.658  0.644  0.085
Cr  0.750  0.538  0.000
O  0.723  0.160  0.827
Fe  0.530  0.750  0.623
O  0.277  0.840  0.173
O  0.842  0.144  0.585
O  0.223  0.840  0.827
Fe  0.970  0.250  0.123
O  0.901  0.921  0.841
Fe  0.530  0.250  0.877
O  0.936  0.151  0.980
O  0.599  0.421  0.341
O  0.342  0.356  0.915
O  0.401  0.579  0.659
O  0.599  0.921  0.159
Cr  0.894  0.103  0.856
O  0.064  0.349  0.480
O  0.401  0.079  0.841
O  0.134  0.068  0.568
O  0.483  0.678  0.273
O  0.866  0.932  0.432
Fe  0.470  0.750  0.123
Cr  0.250  0.462  0.000
O  0.366  0.568  0.068
O  0.158  0.356  0.085
Cr  0.394  0.897  0.856
O  0.158  0.856  0.415
O  0.634  0.932  0.568
Cr  0.250  0.962  0.500
O  0.517  0.322  0.727
O  0.777  0.160  0.173
O  0.564  0.651  0.480
Fe  0.470  0.250  0.377
O  0.842  0.644  0.915
O  0.983  0.322  0.273
O  0.634  0.432  0.932
Cr  0.106  0.897  0.144
O  0.777  0.660  0.327
O  0.983  0.822  0.227
O  0.223  0.340  0.673
Cr  0.750  0.038  0.500
Fe  0.970  0.750  0.377
O  0.723  0.660  0.673
Cr  0.106  0.397  0.356
O  0.436  0.349  0.520
O  0.866  0.432  0.068
O  0.017  0.178  0.773
Cr  0.894  0.603  0.644
O  0.134  0.568  0.932
O  0.564  0.151  0.020
O  0.936  0.651  0.520
Fe  0.030  0.250  0.623
O  0.017  0.678  0.727
O  0.064  0.849  0.020
Cr  0.606  0.603  0.356
O  0.483  0.178  0.227
O  0.277  0.340  0.327
O  0.436  0.849  0.980
Cr  0.606  0.103  0.144
O  0.099  0.079  0.159

Computed properties:
As for the energy above the most stable polymorph in this dataset: 0.003 eV per atom. The space-group type is Pbcn (60). For the corrected total energy (MP2020 scheme), the calculation gives -7.828 eV/atom.

Here is crystalline Sr2CoSe3O9 at its relaxed geometry from the Materials Project database. Energies are from GGA+U.

abc: 7.460 7.764 8.872
angles: 103.25 105.48 95.57
Sites, in units of the cell vectors:
Sr  0.753  0.909  0.611
Se  0.363  0.084  0.793
Se  0.766  0.366  0.415
Sr  0.247  0.091  0.389
O  0.488  0.876  0.318
Co  0.904  0.661  0.245
O  0.872  0.752  0.830
O  0.774  0.593  0.412
O  0.826  0.369  0.618
O  0.525  0.300  0.354
O  0.364  0.303  0.901
Sr  0.628  0.484  0.807
O  0.166  0.581  0.932
O  0.512  0.124  0.682
O  0.854  0.949  0.353
O  0.475  0.700  0.646
Co  0.096  0.339  0.755
O  0.636  0.697  0.099
Se  0.904  0.210  0.041
O  0.174  0.631  0.382
O  0.062  0.818  0.148
Se  0.637  0.916  0.207
O  0.128  0.248  0.170
Se  0.234  0.634  0.585
O  0.226  0.407  0.588
O  0.146  0.051  0.647
Se  0.096  0.790  0.959
Sr  0.372  0.516  0.193
O  0.834  0.419  0.068
O  0.938  0.182  0.852

Computed properties:
The space-group type is P-1 (2). For the corrected total energy (MP2020 scheme), the calculation gives -6.361 eV/atom.

Here is crystalline Li3Fe2P4O14 at its relaxed geometry from the Materials Project database. Energies are from GGA+U.

abc: 9.833 9.791 11.170
angles: 90.33 102.27 89.50
Sites, in units of the cell vectors:
Fe  0.752  0.282  0.825
O  0.124  0.076  0.293
O  0.445  0.440  0.896
Fe  0.301  0.422  0.328
P  0.022  0.452  0.757
Fe  0.700  0.576  0.685
O  0.914  0.083  0.887
Li  0.345  0.912  0.958
O  0.078  0.080  0.731
P  0.515  0.048  0.749
O  0.069  0.911  0.113
P  0.563  0.574  0.245
O  0.829  0.180  0.678
O  0.208  0.056  0.521
Li  0.666  0.084  0.543
O  0.026  0.841  0.570
P  0.378  0.648  0.577
O  0.131  0.522  0.225
P  0.624  0.351  0.418
O  0.868  0.926  0.706
O  0.680  0.672  0.831
O  0.571  0.580  0.111
O  0.481  0.776  0.919
P  0.982  0.542  0.255
P  0.620  0.798  0.885
O  0.413  0.581  0.269
O  0.921  0.917  0.278
Fe  0.748  0.778  0.170
O  0.104  0.363  0.859
O  0.781  0.938  0.478
O  0.530  0.236  0.095
Li  0.171  0.427  0.543
Li  0.323  0.919  0.449
O  0.820  0.164  0.172
P  0.124  0.149  0.422
Li  0.655  0.108  0.035
O  0.692  0.209  0.409
O  0.094  0.599  0.770
P  0.115  0.712  0.880
O  0.627  0.425  0.290
O  0.473  0.342  0.427
O  0.725  0.865  0.992
Li  0.835  0.579  0.459
O  0.316  0.791  0.586
O  0.976  0.749  0.903
O  0.594  0.901  0.770
O  0.177  0.824  0.319
O  0.398  0.859  0.143
O  0.187  0.290  0.412
O  0.024  0.265  0.088
O  0.377  0.578  0.706
P  0.437  0.429  0.759
O  0.867  0.468  0.772
Li  0.919  0.908  0.974
P  0.884  0.288  0.115
O  0.970  0.163  0.433
P  0.386  0.206  0.115
O  0.593  0.141  0.851
Li  0.614  0.781  0.456
Li  0.413  0.613  0.972
O  0.518  0.084  0.620
O  0.664  0.679  0.320
O  0.770  0.335  0.004
O  0.330  0.325  0.698
Fe  0.237  0.719  0.173
O  0.988  0.560  0.390
O  0.895  0.402  0.221
O  0.806  0.712  0.586
Li  0.143  0.390  0.042
P  0.928  0.074  0.756
O  0.193  0.827  0.826
O  0.294  0.139  0.001
P  0.481  0.951  0.243
Li  0.887  0.284  0.547
O  0.314  0.328  0.165
O  0.026  0.406  0.628
P  0.069  0.924  0.246
O  0.481  0.912  0.374
Fe  0.197  0.923  0.668
O  0.720  0.435  0.519
O  0.219  0.650  0.993
Fe  0.247  0.210  0.823
Fe  0.805  0.071  0.324
O  0.294  0.555  0.478
O  0.407  0.099  0.228
P  0.875  0.852  0.580
O  0.634  0.967  0.222
O  0.906  0.650  0.168
O  0.363  0.026  0.772
Li  0.592  0.400  0.033
O  0.583  0.416  0.726
O  0.532  0.659  0.567

Computed properties:
As for the energy above the most stable polymorph in this dataset: 0.013 eV per atom. The space-group type is P1 (1). For the corrected total energy (MP2020 scheme), the calculation gives -7.445 eV/atom.

Computed values of formation energy from the elements (unit: eV per atom) for the preceding records, in sequence: -1.01; -2.21; -1.78; -1.64; -1.99; -2.51.